Entry 1:
{"formula": "BeAlSiO5", "functional": "PBE-GGA", "state": "optimized geometry", "ef_ev_per_atom": -2.951, "vol_a3_per_cell": 320.7, "crystal_system": "monoclinic", "space_group": "P2_1/c", "final_energy_ev_per_fu": -57.820, "cell": [[4.619, 0.000, 0.000], [0.000, 14.557, 0.000], [-0.767, 0.000, 4.769]], "species": ["Be", "Be", "Be", "Be", "Al", "Al", "Al", "Al", "Si", "Si", "Si", "Si", "O", "O", "O", "O", "O", "O", "O", "O", "O", "O", "O", "O", "O", "O", "O", "O", "O", "O", "O", "O"], "fractional_positions": [[0.045, 0.200, 0.321], [0.045, 0.300, 0.821], [0.955, 0.700, 0.179], [0.955, 0.800, 0.679], [0.458, 0.555, 0.249], [0.458, 0.945, 0.749], [0.542, 0.055, 0.251], [0.542, 0.445, 0.751], [0.038, 0.602, 0.680], [0.038, 0.898, 0.180], [0.962, 0.102, 0.820], [0.962, 0.398, 0.320], [0.002, 0.200, 0.655], [0.002, 0.300, 0.155], [0.164, 0.627, 0.386], [0.164, 0.873, 0.886], [0.266, 0.535, 0.885], [0.266, 0.965, 0.385], [0.282, 0.050, 0.902], [0.282, 0.450, 0.402], [0.378, 0.165, 0.347], [0.378, 0.335, 0.847], [0.622, 0.665, 0.153], [0.622, 0.835, 0.653], [0.718, 0.550, 0.598], [0.718, 0.950, 0.098], [0.734, 0.035, 0.615], [0.734, 0.465, 0.115], [0.836, 0.127, 0.114], [0.836, 0.373, 0.614], [0.998, 0.700, 0.845], [0.998, 0.800, 0.345]]}

Entry 2:
{"formula": "Sr5As3O12F", "functional": "PBE-GGA", "state": "optimized geometry", "ef_ev_per_atom": -2.853, "vol_a3_per_cell": 671.0, "crystal_system": "hexagonal", "space_group": "P6_3/m", "final_energy_ev_per_fu": -134.925, "cell": [[10.166, 0.000, 0.000], [-5.083, 8.804, 0.000], [0.000, 0.000, 7.496]], "species": ["Sr", "Sr", "Sr", "Sr", "Sr", "Sr", "Sr", "Sr", "Sr", "Sr", "As", "As", "As", "As", "As", "As", "O", "O", "O", "O", "O", "O", "O", "O", "O", "O", "O", "O", "O", "O", "O", "O", "O", "O", "O", "O", "O", "O", "O", "O", "F", "F"], "fractional_positions": [[0.007, 0.248, 0.250], [0.241, 0.993, 0.250], [0.248, 0.241, 0.750], [0.333, 0.667, 0.001], [0.333, 0.667, 0.499], [0.667, 0.333, 0.501], [0.667, 0.333, 0.999], [0.752, 0.759, 0.250], [0.759, 0.007, 0.750], [0.993, 0.752, 0.750], [0.030, 0.399, 0.750], [0.369, 0.970, 0.750], [0.399, 0.369, 0.250], [0.601, 0.631, 0.750], [0.631, 0.030, 0.250], [0.970, 0.601, 0.250], [0.091, 0.342, 0.566], [0.091, 0.342, 0.934], [0.125, 0.595, 0.750], [0.164, 0.678, 0.250], [0.252, 0.909, 0.566], [0.252, 0.909, 0.934], [0.322, 0.486, 0.250], [0.342, 0.252, 0.066], [0.342, 0.252, 0.434], [0.405, 0.530, 0.750], [0.470, 0.875, 0.750], [0.486, 0.164, 0.750], [0.514, 0.836, 0.250], [0.530, 0.125, 0.250], [0.595, 0.470, 0.250], [0.658, 0.748, 0.566], [0.658, 0.748, 0.934], [0.678, 0.514, 0.750], [0.748, 0.091, 0.066], [0.748, 0.091, 0.434], [0.836, 0.322, 0.750], [0.875, 0.405, 0.250], [0.909, 0.658, 0.066], [0.909, 0.658, 0.434], [0.000, 0.000, 0.250], [0.000, 0.000, 0.750]]}

Entry 3:
{"formula": "Na3ScTiSiP2O12", "functional": "PBE-GGA", "state": "optimized geometry", "ef_ev_per_atom": -3.019, "vol_a3_per_cell": 1558.7, "crystal_system": "monoclinic", "space_group": "Cc", "final_energy_ev_per_fu": -145.965, "cell": [[7.781, -4.491, 0.000], [7.781, 4.491, 0.000], [-0.140, 0.000, 22.301]], "species": ["Na", "Na", "Na", "Na", "Na", "Na", "Na", "Na", "Na", "Na", "Na", "Na", "Na", "Na", "Na", "Na", "Na", "Na", "Sc", "Sc", "Sc", "Sc", "Sc", "Sc", "Ti", "Ti", "Ti", "Ti", "Ti", "Ti", "Si", "Si", "Si", "Si", "Si", "Si", "P", "P", "P", "P", "P", "P", "P", "P", "P", "P", "P", "P", "O", "O", "O", "O", "O", "O", "O", "O", "O", "O", "O", "O", "O", "O", "O", "O", "O", "O", "O", "O", "O", "O", "O", "O", "O", "O", "O", "O", "O", "O", "O", "O", "O", "O", "O", "O", "O", "O", "O", "O", "O", "O", "O", "O", "O", "O", "O", "O", "O", "O", "O", "O", "O", "O", "O", "O", "O", "O", "O", "O", "O", "O", "O", "O", "O", "O", "O", "O", "O", "O", "O", "O"], "fractional_positions": [[0.001, 0.999, 0.500], [0.013, 0.636, 0.251], [0.034, 0.305, 0.416], [0.303, 0.676, 0.414], [0.305, 0.034, 0.916], [0.317, 0.350, 0.833], [0.343, 0.697, 0.085], [0.350, 0.317, 0.333], [0.370, 0.633, 0.749], [0.633, 0.370, 0.249], [0.636, 0.013, 0.751], [0.665, 0.671, 0.666], [0.671, 0.665, 0.166], [0.676, 0.303, 0.914], [0.697, 0.343, 0.585], [0.701, 0.970, 0.081], [0.970, 0.701, 0.581], [0.999, 0.001, 0.000], [0.001, 0.998, 0.353], [0.337, 0.338, 0.686], [0.338, 0.337, 0.186], [0.664, 0.680, 0.520], [0.680, 0.664, 0.020], [0.998, 0.001, 0.853], [0.008, 0.009, 0.149], [0.009, 0.008, 0.649], [0.332, 0.346, 0.482], [0.346, 0.332, 0.982], [0.663, 0.680, 0.316], [0.680, 0.663, 0.816], [0.301, 0.713, 0.251], [0.333, 0.638, 0.586], [0.638, 0.333, 0.086], [0.670, 0.963, 0.919], [0.713, 0.301, 0.751], [0.963, 0.670, 0.419], [0.002, 0.297, 0.252], [0.049, 0.330, 0.583], [0.049, 0.628, 0.085], [0.297, 0.002, 0.752], [0.330, 0.049, 0.083], [0.381, 0.666, 0.918], [0.381, 0.968, 0.417], [0.628, 0.049, 0.585], [0.666, 0.381, 0.418], [0.713, 0.998, 0.249], [0.968, 0.381, 0.917], [0.998, 0.713, 0.749], [0.000, 0.829, 0.415], [0.022, 0.197, 0.310], [0.030, 0.167, 0.588], [0.033, 0.795, 0.804], [0.039, 0.808, 0.087], [0.123, 0.531, 0.144], [0.134, 0.360, 0.636], [0.145, 0.368, 0.922], [0.151, 0.823, 0.590], [0.155, 0.325, 0.246], [0.156, 0.487, 0.422], [0.156, 0.534, 0.744], [0.157, 0.308, 0.524], [0.167, 0.030, 0.088], [0.170, 0.528, 0.031], [0.183, 0.797, 0.310], [0.197, 0.022, 0.810], [0.199, 0.835, 0.191], [0.199, 0.976, 0.698], [0.199, 0.993, 0.410], [0.205, 0.829, 0.911], [0.304, 0.534, 0.526], [0.308, 0.157, 0.024], [0.322, 0.522, 0.247], [0.325, 0.155, 0.746], [0.360, 0.134, 0.136], [0.364, 0.519, 0.644], [0.368, 0.145, 0.422], [0.369, 0.499, 0.922], [0.459, 0.851, 0.471], [0.462, 0.693, 0.974], [0.476, 0.832, 0.754], [0.487, 0.156, 0.922], [0.489, 0.866, 0.079], [0.496, 0.690, 0.257], [0.496, 0.869, 0.361], [0.499, 0.369, 0.422], [0.499, 0.636, 0.861], [0.507, 0.647, 0.579], [0.519, 0.364, 0.144], [0.522, 0.322, 0.747], [0.528, 0.170, 0.531], [0.531, 0.123, 0.644], [0.534, 0.156, 0.244], [0.534, 0.304, 0.026], [0.636, 0.499, 0.361], [0.641, 0.865, 0.859], [0.647, 0.507, 0.079], [0.661, 0.864, 0.580], [0.687, 0.859, 0.979], [0.690, 0.496, 0.757], [0.693, 0.462, 0.474], [0.709, 0.828, 0.255], [0.795, 0.033, 0.304], [0.797, 0.183, 0.810], [0.808, 0.039, 0.587], [0.823, 0.151, 0.090], [0.828, 0.709, 0.755], [0.829, 0.000, 0.915], [0.829, 0.205, 0.411], [0.829, 0.970, 0.192], [0.832, 0.476, 0.254], [0.835, 0.199, 0.691], [0.851, 0.459, 0.971], [0.859, 0.687, 0.479], [0.864, 0.661, 0.080], [0.865, 0.641, 0.359], [0.866, 0.489, 0.579], [0.869, 0.496, 0.861], [0.970, 0.829, 0.692], [0.976, 0.199, 0.198], [0.993, 0.199, 0.910]]}

Entry 4:
{"formula": "EuAgAu2", "functional": "PBE-GGA", "state": "optimized geometry", "ef_ev_per_atom": -0.488, "vol_a3_per_cell": 91.0, "crystal_system": "cubic", "space_group": "Fm-3m", "final_energy_ev_per_fu": -21.590, "cell": [[0.000, 3.570, 3.570], [3.570, 0.000, 3.570], [3.570, 3.570, 0.000]], "species": ["Eu", "Ag", "Au", "Au"], "fractional_positions": [[0.000, 0.000, 0.000], [0.500, 0.500, 0.500], [0.250, 0.250, 0.250], [0.750, 0.750, 0.750]]}